The following is a GGA-PBE calculation of a geometry-optimized Tb6Ge3Se14 structure, from Materials Project.

calculated volume: 571.0 Å³/cell
formation energy: -152.15 kJ per mole of atoms

Cell lengths 10.4529, 10.4529, 6.0349 Å; angles 90.00, 90.00, 120.00 degrees
Last column: nearest neighbours and their distance in Å.
Positions (direct):
Se: 0.8278 0.2361 0.2773  1 Ge 2.78, 3 Tb 2.91-3.01
Se: 0.9254 0.4970 0.7735  1 Ge 2.82, 3 Tb 2.93-3.02
Se: 0.0000 0.0000 0.5605  1 Ge 2.35
Se: 0.5030 0.4283 0.7735  1 Ge 2.82, 3 Tb 2.93-3.02
Se: 0.5717 0.0746 0.7735  1 Ge 2.82, 3 Tb 2.93-3.02
Se: 0.7639 0.5917 0.2773  1 Ge 2.78, 3 Tb 2.91-3.01
Se: 0.3333 0.6667 0.0591  1 Ge 2.35
Se: 0.4083 0.1722 0.2773  1 Ge 2.78, 3 Tb 2.91-3.01
Se: 0.1519 0.2382 0.0045  1 Ge 2.40
Se: 0.2476 0.8186 0.5027  1 Ge 2.40
Se: 0.1814 0.4290 0.5027  1 Ge 2.40
Se: 0.7618 0.9137 0.0045  1 Ge 2.40
Se: 0.0863 0.8481 0.0045  1 Ge 2.40
Se: 0.5710 0.7524 0.5027  1 Ge 2.40
Tb: 0.8932 0.2027 0.7518  7 Se 2.93-3.13
Tb: 0.3094 0.1068 0.7518  7 Se 2.93-3.13
Tb: 0.5358 0.9753 0.2509  7 Se 2.91-3.12
Tb: 0.7973 0.6906 0.7518  7 Se 2.93-3.13
Tb: 0.0247 0.5605 0.2509  7 Se 2.91-3.12
Tb: 0.4395 0.4642 0.2509  7 Se 2.91-3.12
Ge: 0.6667 0.3333 0.5191  6 Se 2.78-2.82
Ge: 0.3333 0.6667 0.6697  4 Se 2.35-2.40
Ge: 0.0000 0.0000 0.1714  4 Se 2.35-2.40

The following is a GGA-PBE calculation of a geometry-optimized Mn3GeN structure, from Materials Project.

spin magnetization: 1.09 μB/atom
calculated volume: 111.6 Å³/cell
formation energy: -27.43 kJ per mole of atoms

Cell lengths 5.4998, 5.4998, 5.4998 Å; angles 123.08, 123.08, 84.74 degrees
Last column: nearest neighbours and their distance in Å.
Positions (direct):
Ge: 0.7500 0.2500 0.5000  8 Mn 2.46-2.62
Ge: 0.2500 0.7500 0.5000  8 Mn 2.46-2.62
Mn: 0.1863 0.3137 0.5000  2 N 1.91
Mn: 0.8137 0.6863 0.5000  2 N 1.91
Mn: 0.3137 0.8137 0.1274  2 N 1.91
Mn: 0.2500 0.2500 0.0000  2 N 2.03
Mn: 0.7500 0.7500 0.0000  2 N 2.03
Mn: 0.6863 0.1863 0.8726  2 N 1.91
N: 0.5000 0.5000 0.0000  6 Mn 1.91-2.03
N: 0.0000 0.0000 0.0000  6 Mn 1.91-2.03

The following is a GGA-PBE calculation of a geometry-optimized Sr20P12Br3ClO48 structure, from Materials Project.

spin magnetization: 0.00 μB/atom
calculated volume: 1282.6 Å³/cell
formation energy: -316.25 kJ per mole of atoms

Cell lengths 10.1061, 12.4376, 12.4376 Å; angles 71.32, 66.03, 66.03 degrees
Last column: nearest neighbours and their distance in Å.
Positions (direct):
Sr: 0.3335 0.9176 0.4157  9 O 2.60-2.90
Sr: 0.7366 0.5046 0.7545  3 O 2.43-2.53
Sr: 0.0044 0.2433 0.4932  3 O 2.43-2.53
Sr: 0.2591 0.3772 0.6272  3 O 2.43-2.53
Sr: 0.6669 0.5824 0.0843  9 O 2.60-2.90
Sr: 0.2612 0.9954 0.7475  5 O 2.44-2.73
Sr: 0.6665 0.0824 0.5843  9 O 2.60-2.90
Sr: 0.3334 0.6656 0.6676  8 O 2.60-2.90
Sr: 0.7409 0.6228 0.3728  3 O 2.43-2.53
Sr: 0.6668 0.8343 0.8323  7 O 2.60-2.90
Sr: 0.7388 0.0046 0.2525  5 O 2.44-2.73
Sr: 0.3331 0.4176 0.9157  9 O 2.60-2.90
Sr: 0.3332 0.1657 0.1677  7 O 2.60-2.90
Sr: 0.7430 0.1219 0.8740  5 O 2.45-2.73
Sr: 0.0040 0.7455 0.9934  5 O 2.44-2.73
Sr: 0.2570 0.8781 0.1260  5 O 2.45-2.73
Sr: 0.9956 0.7567 0.5068  3 O 2.43-2.53
Sr: 0.2634 0.4954 0.2455  3 O 2.43-2.53
Sr: 0.6666 0.3344 0.3324  8 O 2.60-2.90
Sr: 0.9960 0.2545 0.0066  5 O 2.44-2.73
O: 0.6415 0.8467 0.4224  1 P 1.56
O: 0.5365 0.3127 0.5627  1 P 1.57
O: 0.7310 0.4172 0.4932  1 P 1.56
O: 0.6547 0.3672 0.1173  1 P 1.56
O: 0.9104 0.6413 0.7173  1 P 1.56
O: 0.5880 0.6435 0.8932  1 P 1.57
O: 0.6423 0.1723 0.0961  1 P 1.56
O: 0.0895 0.0329 0.6087  1 P 1.56
O: 0.9105 0.9671 0.3913  1 P 1.56
O: 0.8608 0.9523 0.7024  1 P 1.56
O: 0.7310 0.2431 0.6675  1 P 1.56
O: 0.3585 0.1533 0.5776  1 P 1.56
O: 0.3586 0.3275 0.4035  1 P 1.56
O: 0.1246 0.8309 0.5811  1 P 1.57
O: 0.8757 0.6692 0.9191  1 P 1.57
O: 0.2690 0.5828 0.5068  1 P 1.56
O: 0.3585 0.6534 0.0776  1 P 1.56
O: 0.4844 0.0553 0.8054  1 P 1.56
O: 0.2685 0.0828 0.0065  1 P 1.56
O: 0.5883 0.1430 0.3930  1 P 1.57
O: 0.7315 0.9172 0.9935  1 P 1.56
O: 0.4845 0.5554 0.3054  1 P 1.56
O: 0.1243 0.3308 0.0809  1 P 1.57
O: 0.4117 0.8570 0.6070  1 P 1.57
O: 0.9108 0.1407 0.2169  1 P 1.56
O: 0.3451 0.1328 0.3827  1 P 1.56
O: 0.1393 0.5476 0.7975  1 P 1.56
O: 0.8607 0.4524 0.2025  1 P 1.56
O: 0.7309 0.7432 0.1673  1 P 1.56
O: 0.1392 0.0477 0.2976  1 P 1.56
O: 0.0895 0.5329 0.1086  1 P 1.56
O: 0.9105 0.4671 0.8914  1 P 1.56
O: 0.4120 0.3565 0.1068  1 P 1.57
O: 0.5155 0.4446 0.6946  1 P 1.56
O: 0.4635 0.6873 0.4373  1 P 1.57
O: 0.2691 0.2568 0.8327  1 P 1.56
O: 0.6549 0.8672 0.6173  1 P 1.56
O: 0.8754 0.1691 0.4189  1 P 1.57
O: 0.0892 0.8593 0.7831  1 P 1.56
O: 0.3577 0.8277 0.9039  1 P 1.56
O: 0.5361 0.8130 0.0627  1 P 1.57
O: 0.6415 0.3466 0.9224  1 P 1.56
O: 0.6414 0.6725 0.5965  1 P 1.56
O: 0.2690 0.7569 0.3325  1 P 1.56
O: 0.4639 0.1870 0.9373  1 P 1.57
O: 0.3453 0.6328 0.8827  1 P 1.56
O: 0.0896 0.3587 0.2827  1 P 1.56
O: 0.5156 0.9447 0.1946  1 P 1.56
P: 0.5908 0.3115 0.0614  4 O 1.56-1.57
P: 0.9636 0.0795 0.3296  4 O 1.56-1.57
P: 0.3730 0.1432 0.8931  4 O 1.56-1.57
P: 0.6272 0.3567 0.6069  4 O 1.56-1.57
P: 0.3728 0.6433 0.3931  4 O 1.56-1.57
P: 0.4094 0.1884 0.4386  4 O 1.56-1.57
P: 0.4092 0.6885 0.9386  4 O 1.56-1.57
P: 0.0364 0.9205 0.6704  4 O 1.56-1.57
P: 0.9636 0.5796 0.8298  4 O 1.56-1.57
P: 0.0364 0.4204 0.1702  4 O 1.56-1.57
P: 0.5906 0.8116 0.5614  4 O 1.56-1.57
P: 0.6270 0.8568 0.1069  4 O 1.56-1.57
Cl: 0.0000 0.0000 0.0000  6 Sr 3.18, 6 O 3.30-3.31
Br: 0.0000 0.2492 0.7508  6 Sr 3.19-3.21, 6 O 3.31
Br: 0.0000 0.7508 0.2492  6 Sr 3.19-3.21, 6 O 3.31
Br: 0.0000 0.5000 0.5000  6 Sr 3.20, 6 O 3.31